This record from the Materials Project database describes crystalline MgSc2 at its relaxed geometry. The functional is PBE-GGA.

abc: 6.188 6.188 7.687
angles: 76.26 76.26 30.59
Fractional coordinates of all 6 atoms:
Sc1 0.975 0.975 0.307
Sc2 0.696 0.696 0.366
Sc3 0.025 0.025 0.693
Mg1 0.360 0.360 0.025
Sc4 0.304 0.304 0.634
Mg2 0.640 0.640 0.975

## Properties
VASP energy = -4.7708 eV per atom
space group = C2/m (12)